# 1
Compound: TeO3
Source: the Materials Project database
Functional: PBE-GGA
Structure: optimized geometry

```
TeO3
1.0
-0.576 2.338 4.297
-4.822 -1.954 0.416
3.085 -6.743 4.083
Te O
4 12
direct
0.000 0.750 0.093 Te
0.500 0.750 0.407 Te
0.000 0.250 0.907 Te
0.500 0.250 0.593 Te
0.250 0.889 0.250 O
0.287 0.935 0.574 O
0.213 0.935 0.926 O
0.713 0.065 0.426 O
0.787 0.065 0.074 O
0.750 0.111 0.750 O
0.250 0.389 0.750 O
0.213 0.435 0.074 O
0.287 0.435 0.426 O
0.787 0.565 0.926 O
0.713 0.565 0.574 O
0.750 0.611 0.250 O
```

distance to the lowest polymorph of the same formula	21.1	meV per atom



# 2
Compound: TeO3
Source: the Materials Project database
Functional: PBE-GGA
Structure: optimized geometry

```
TeO3
1.0
0.529 4.189 3.179
-3.618 3.838 0.323
-3.010 0.761 4.277
Te O
2 6
direct
0.500 0.500 0.500 Te
0.000 0.000 0.000 Te
0.114 0.386 0.750 O
0.386 0.750 0.114 O
0.750 0.114 0.386 O
0.886 0.614 0.250 O
0.614 0.250 0.886 O
0.250 0.886 0.614 O
```

distance to the lowest polymorph of the same formula	20.1	meV per atom



# 3
Compound: Te4O9
Source: the Materials Project database
Functional: PBE-GGA
Structure: optimized geometry

```
Te4O9
1.0
4.113 4.115 4.714
-4.943 1.391 5.450
1.953 -5.113 5.111
Te O
8 18
direct
0.596 0.290 0.840 Te
0.840 0.596 0.290 Te
0.290 0.840 0.596 Te
0.404 0.710 0.160 Te
0.160 0.404 0.710 Te
0.710 0.160 0.404 Te
0.184 0.184 0.184 Te
0.816 0.816 0.816 Te
0.576 0.772 0.288 O
0.288 0.576 0.772 O
0.772 0.288 0.576 O
0.424 0.228 0.712 O
0.712 0.424 0.228 O
0.228 0.712 0.424 O
0.722 0.917 0.588 O
0.588 0.722 0.917 O
0.043 0.928 0.718 O
0.928 0.718 0.043 O
0.718 0.043 0.928 O
0.957 0.072 0.282 O
0.072 0.282 0.957 O
0.282 0.957 0.072 O
0.083 0.412 0.278 O
0.412 0.278 0.083 O
0.278 0.083 0.412 O
0.917 0.588 0.722 O
```



# 4
Compound: ThTe2O6
Source: the Materials Project database
Functional: PBE-GGA
Structure: optimized geometry

```
ThTe2O6
1.0
-7.866 8.044 2.017
-5.267 -4.739 -1.641
-3.928 -5.313 5.873
Th Te O
4 8 24
direct
0.091 0.254 0.004 Th
0.591 0.746 0.496 Th
0.909 0.746 0.996 Th
0.409 0.254 0.504 Th
0.279 0.809 0.425 Te
0.779 0.191 0.075 Te
0.721 0.191 0.575 Te
0.221 0.809 0.925 Te
0.922 0.726 0.549 Te
0.422 0.274 0.951 Te
0.078 0.274 0.451 Te
0.578 0.726 0.049 Te
0.250 0.966 0.170 O
0.750 0.034 0.330 O
0.750 0.034 0.830 O
0.250 0.966 0.670 O
0.402 0.999 0.409 O
0.902 0.001 0.091 O
0.598 0.001 0.591 O
0.098 0.999 0.909 O
0.402 0.613 0.453 O
0.902 0.387 0.047 O
0.598 0.387 0.547 O
0.098 0.613 0.953 O
0.017 0.472 0.710 O
0.517 0.528 0.790 O
0.983 0.528 0.290 O
0.483 0.472 0.210 O
0.902 0.854 0.687 O
0.402 0.146 0.813 O
0.098 0.146 0.313 O
0.598 0.854 0.187 O
0.776 0.574 0.614 O
0.276 0.426 0.886 O
0.224 0.426 0.386 O
0.724 0.574 0.114 O
```



# 5
Compound: Ti5Te3O18
Source: the Materials Project database
Functional: PBE-GGA
Structure: optimized geometry

```
Ti5Te3O18
1.0
4.462 7.391 0.000
-4.462 7.391 0.000
0.000 1.030 10.470
Ti Te O
10 6 36
direct
0.505 0.809 0.001 Ti
0.192 0.114 0.492 Ti
0.354 0.345 0.288 Ti
0.715 0.971 0.792 Ti
0.655 0.646 0.712 Ti
0.020 0.980 0.000 Ti
0.386 0.614 0.500 Ti
0.029 0.285 0.208 Ti
0.886 0.808 0.508 Ti
0.191 0.495 0.999 Ti
0.866 0.454 0.936 Te
0.192 0.809 0.253 Te
0.191 0.808 0.747 Te
0.864 0.479 0.454 Te
0.521 0.136 0.546 Te
0.546 0.134 0.064 Te
0.110 0.440 0.870 O
0.428 0.751 0.796 O
0.620 0.567 0.538 O
0.116 0.744 0.426 O
0.249 0.572 0.204 O
0.256 0.884 0.574 O
0.816 0.392 0.309 O
0.113 0.021 0.833 O
0.291 0.590 0.665 O
0.417 0.100 0.399 O
0.635 0.574 0.033 O
0.982 0.491 0.101 O
0.956 0.861 0.688 O
0.752 0.713 0.848 O
0.426 0.365 0.967 O
0.568 0.254 0.221 O
0.750 0.040 0.455 O
0.287 0.248 0.152 O
0.433 0.380 0.462 O
0.960 0.250 0.545 O
0.818 0.708 0.382 O
0.641 0.891 0.626 O
0.979 0.887 0.167 O
0.746 0.432 0.779 O
0.811 0.026 0.924 O
0.139 0.727 0.920 O
0.509 0.018 0.899 O
0.608 0.184 0.691 O
0.139 0.044 0.312 O
0.109 0.359 0.374 O
0.292 0.182 0.618 O
0.273 0.861 0.080 O
0.410 0.709 0.335 O
0.900 0.583 0.601 O
0.974 0.189 0.076 O
0.560 0.890 0.130 O
```



# 6
Compound: TiTeO3
Source: the Materials Project database
Functional: PBE-GGA
Structure: optimized geometry

```
TiTeO3
1.0
-3.229 2.292 0.152
-1.976 -2.904 1.835
1.173 1.419 3.509
Ti Te O
1 1 3
direct
0.000 0.000 0.000 Ti
0.500 0.500 0.500 Te
0.000 0.000 0.500 O
0.000 0.500 0.000 O
0.500 0.000 0.000 O
```



# 7
Compound: TiTl2Te3O12
Source: the Materials Project database
Functional: PBE-GGA
Structure: optimized geometry

```
TiTl2Te3O12
1.0
3.635 6.259 0.000
-3.635 6.259 0.000
0.000 4.151 5.937
Ti Tl Te O
1 2 3 12
direct
0.496 0.504 0.000 Ti
0.106 0.178 0.612 Tl
0.822 0.894 0.388 Tl
0.499 0.001 0.001 Te
0.999 0.501 0.999 Te
0.498 0.502 0.500 Te
0.436 0.820 0.933 O
0.824 0.428 0.325 O
0.819 0.434 0.934 O
0.429 0.826 0.326 O
0.825 0.826 0.928 O
0.435 0.432 0.320 O
0.566 0.181 0.066 O
0.174 0.571 0.674 O
0.180 0.564 0.067 O
0.572 0.176 0.675 O
0.174 0.175 0.072 O
0.568 0.565 0.680 O
```



# 8
Compound: Ti5Zn4Te3O18
Source: the Materials Project database
Functional: PBE-GGA
Structure: optimized geometry

```
Ti5Zn4Te3O18
1.0
4.597 7.605 0.000
-4.597 7.605 0.000
0.000 0.385 10.802
Ti Zn Te O
10 8 6 36
direct
0.311 0.007 0.719 Ti
0.007 0.311 0.219 Ti
0.135 0.545 0.054 Ti
0.545 0.135 0.554 Ti
0.455 0.865 0.446 Ti
0.850 0.150 0.750 Ti
0.150 0.850 0.250 Ti
0.865 0.455 0.946 Ti
0.689 0.993 0.281 Ti
0.993 0.689 0.781 Ti
0.344 0.057 0.067 Zn
0.396 0.684 0.953 Zn
0.943 0.656 0.433 Zn
0.316 0.604 0.547 Zn
0.684 0.396 0.453 Zn
0.057 0.344 0.567 Zn
0.656 0.943 0.933 Zn
0.604 0.316 0.047 Zn
0.660 0.655 0.693 Te
0.000 0.000 0.000 Te
0.000 0.000 0.500 Te
0.655 0.660 0.193 Te
0.340 0.345 0.307 Te
0.345 0.340 0.807 Te
0.917 0.600 0.620 O
0.259 0.951 0.552 O
0.366 0.806 0.318 O
0.904 0.909 0.247 O
0.049 0.741 0.948 O
0.091 0.096 0.253 O
0.631 0.538 0.029 O
0.879 0.269 0.566 O
0.121 0.731 0.434 O
0.229 0.295 0.145 O
0.426 0.774 0.789 O
0.771 0.705 0.855 O
0.741 0.049 0.448 O
0.564 0.899 0.616 O
0.226 0.574 0.711 O
0.369 0.462 0.971 O
0.574 0.226 0.211 O
0.101 0.436 0.884 O
0.194 0.634 0.182 O
0.774 0.426 0.289 O
0.600 0.917 0.120 O
0.436 0.101 0.384 O
0.731 0.121 0.934 O
0.538 0.631 0.529 O
0.634 0.194 0.682 O
0.909 0.904 0.747 O
0.295 0.229 0.645 O
0.462 0.369 0.471 O
0.951 0.259 0.052 O
0.899 0.564 0.116 O
0.083 0.400 0.380 O
0.096 0.091 0.753 O
0.269 0.879 0.066 O
0.705 0.771 0.355 O
0.806 0.366 0.818 O
0.400 0.083 0.880 O
```



# 9
Compound: Tl6TeO12
Source: the Materials Project database
Functional: PBE-GGA
Structure: optimized geometry

```
Tl6TeO12
1.0
-2.240 6.034 -1.147
-0.656 0.039 6.504
6.388 1.370 -0.249
Tl Te O
6 1 12
direct
0.392 0.696 0.864 Tl
0.864 0.392 0.696 Tl
0.696 0.864 0.392 Tl
0.608 0.304 0.136 Tl
0.136 0.608 0.304 Tl
0.304 0.136 0.608 Tl
0.000 0.000 0.000 Te
0.175 0.423 0.601 O
0.601 0.175 0.423 O
0.423 0.601 0.175 O
0.825 0.577 0.399 O
0.399 0.825 0.577 O
0.577 0.399 0.825 O
0.928 0.034 0.705 O
0.966 0.295 0.072 O
0.295 0.072 0.966 O
0.072 0.966 0.295 O
0.034 0.705 0.928 O
0.705 0.928 0.034 O
```



# 10
Compound: Tl2Te2O5
Source: the Materials Project database
Functional: PBE-GGA
Structure: optimized geometry

```
Tl2Te2O5
1.0
-2.124 10.311 -6.284
-5.802 1.539 4.486
2.114 4.755 7.087
Tl Te O
8 8 20
direct
0.559 0.208 0.022 Tl
0.059 0.792 0.478 Tl
0.441 0.792 0.978 Tl
0.941 0.208 0.522 Tl
0.714 0.525 0.213 Tl
0.214 0.475 0.287 Tl
0.286 0.475 0.787 Tl
0.786 0.525 0.713 Tl
0.702 0.927 0.796 Te
0.202 0.073 0.704 Te
0.298 0.073 0.204 Te
0.798 0.927 0.296 Te
0.471 0.200 0.518 Te
0.971 0.800 0.982 Te
0.529 0.800 0.482 Te
0.029 0.200 0.018 Te
0.649 0.872 0.014 O
0.149 0.128 0.486 O
0.351 0.128 0.986 O
0.851 0.872 0.514 O
0.627 0.725 0.760 O
0.127 0.275 0.740 O
0.373 0.275 0.240 O
0.873 0.725 0.260 O
0.404 0.948 0.567 O
0.904 0.052 0.933 O
0.596 0.052 0.433 O
0.096 0.948 0.067 O
0.328 0.272 0.601 O
0.828 0.728 0.899 O
0.672 0.728 0.399 O
0.172 0.272 0.101 O
0.956 0.112 0.233 O
0.456 0.888 0.267 O
0.044 0.888 0.767 O
0.544 0.112 0.733 O
```



# 11
Compound: Tm2Te4O11
Source: the Materials Project database
Functional: PBE-GGA
Structure: optimized geometry

```
Tm2Te4O11
1.0
2.563 6.197 0.000
-2.563 6.197 0.000
0.000 4.330 15.606
Tm Te O
4 8 22
direct
0.870 0.369 0.963 Tm
0.631 0.130 0.537 Tm
0.369 0.870 0.463 Tm
0.130 0.631 0.037 Tm
0.590 0.155 0.875 Te
0.598 0.157 0.198 Te
0.402 0.843 0.802 Te
0.843 0.402 0.302 Te
0.410 0.845 0.125 Te
0.845 0.410 0.625 Te
0.157 0.598 0.698 Te
0.155 0.590 0.375 Te
0.089 0.209 0.834 O
0.551 0.401 0.094 O
0.599 0.449 0.406 O
0.660 0.756 0.551 O
0.791 0.911 0.666 O
0.144 0.856 0.750 O
0.172 0.965 0.044 O
0.828 0.035 0.956 O
0.856 0.144 0.250 O
0.035 0.828 0.456 O
0.340 0.244 0.449 O
0.192 0.314 0.627 O
0.756 0.660 0.051 O
0.401 0.551 0.594 O
0.209 0.089 0.334 O
0.965 0.172 0.544 O
0.808 0.686 0.373 O
0.911 0.791 0.166 O
0.686 0.808 0.873 O
0.449 0.599 0.906 O
0.314 0.192 0.127 O
0.244 0.340 0.949 O
```



# 12
Compound: Tm2TeO2
Source: the Materials Project database
Functional: PBE-GGA
Structure: optimized geometry

```
Tm2TeO2
1.0
1.928 -3.339 0.000
1.928 3.339 0.000
0.000 0.000 7.143
Tm Te O
2 1 2
direct
0.333 0.667 0.306 Tm
0.667 0.333 0.694 Tm
0.000 0.000 0.000 Te
0.333 0.667 0.620 O
0.667 0.333 0.380 O
```



Number 1: total energy after the MP2020 corrections -23.27 eV/f.u., mass density 5.36 g cm⁻³, formation energy -1.32 eV/atom. Number 2: total energy after the MP2020 corrections -23.27 eV/f.u., mass density 6.00 g cm⁻³, formation energy -1.32 eV/atom. Number 3: total energy after the MP2020 corrections -75.98 eV/f.u., mass density 5.46 g cm⁻³, formation energy -1.45 eV/atom. Number 4: total energy after the MP2020 corrections -65.58 eV/f.u., mass density 6.38 g cm⁻³, formation energy -2.47 eV/atom. Number 5: total energy after the MP2020 corrections -202.81 eV/f.u., mass density 4.38 g cm⁻³, formation energy -2.49 eV/atom. Number 6: total energy after the MP2020 corrections -35.65 eV/f.u., mass density 5.96 g cm⁻³, formation energy -1.95 eV/atom. Number 7: total energy after the MP2020 corrections -113.15 eV/f.u., mass density 6.34 g cm⁻³, formation energy -1.76 eV/atom. Number 8: total energy after the MP2020 corrections -212.55 eV/f.u., mass density 5.15 g cm⁻³, formation energy -2.32 eV/atom. Number 9: total energy after the MP2020 corrections -99.59 eV/f.u., mass density 9.47 g cm⁻³, formation energy -1.21 eV/atom. Number 10: total energy after the MP2020 corrections -48.06 eV/f.u., mass density 6.70 g cm⁻³, formation energy -1.37 eV/atom. Number 11: total energy after the MP2020 corrections -115.29 eV/f.u., mass density 6.86 g cm⁻³, formation energy -2.31 eV/atom. Number 12: total energy after the MP2020 corrections -37.90 eV/f.u., mass density 8.99 g cm⁻³, formation energy -3.18 eV/atom.